Density functional theory data (PBE) for Ti3Ir after structural relaxation.

Calculated values
E_form: -0.576 eV per atom
E_tot: -8.708 eV/atom

Cell and atoms, written as POSCAR:
```
Ti3Ir
1.0
5.017 0.000 0.000
0.000 5.017 0.000
0.000 0.000 5.017
Ti Ir
6 2
Direct
0.000 0.250 0.500
0.000 0.750 0.500
0.250 0.500 0.000
0.500 0.000 0.250
0.500 0.000 0.750
0.750 0.500 0.000
0.000 0.000 0.000
0.500 0.500 0.500
```